# 1
Crystalline K2PSe3 at its relaxed geometry, computed with PBE.

Lattice parameters (Å, degrees): 12.615 8.950 14.059 88.75 90.00 90.00
Positions (direct):
Se: 0.176 0.047 0.610
Se: 0.324 0.547 0.610
Se: 0.035 0.697 0.469
Se: 0.971 0.195 0.040
Se: 0.416 0.997 0.183
Se: 0.809 0.520 0.098
Se: 0.691 0.020 0.098
Se: 0.099 0.031 0.324
Se: 0.401 0.531 0.324
Se: 0.824 0.953 0.390
Se: 0.029 0.805 0.960
Se: 0.471 0.305 0.960
Se: 0.529 0.695 0.040
Se: 0.599 0.469 0.676
Se: 0.676 0.453 0.390
Se: 0.309 0.980 0.902
Se: 0.965 0.303 0.531
Se: 0.465 0.197 0.469
Se: 0.584 0.003 0.817
Se: 0.916 0.503 0.817
Se: 0.901 0.969 0.676
Se: 0.191 0.480 0.902
Se: 0.084 0.497 0.183
Se: 0.535 0.803 0.531
P: 0.508 0.429 0.432
P: 0.471 0.063 0.931
P: 0.008 0.071 0.568
P: 0.492 0.571 0.568
P: 0.971 0.437 0.069
P: 0.029 0.563 0.931
P: 0.529 0.937 0.069
P: 0.992 0.929 0.432
K: 0.435 0.678 0.813
K: 0.065 0.178 0.813
K: 0.935 0.822 0.187
K: 0.765 0.775 0.922
K: 0.265 0.725 0.078
K: 0.235 0.225 0.078
K: 0.290 0.832 0.439
K: 0.710 0.168 0.561
K: 0.790 0.668 0.561
K: 0.397 0.216 0.706
K: 0.210 0.332 0.439
K: 0.603 0.784 0.294
K: 0.897 0.284 0.294
K: 0.735 0.275 0.922
K: 0.565 0.322 0.187
K: 0.103 0.716 0.706

Output
* energy of formation from the pure elements: -1.06 eV per atom
* MP2020-corrected energy: -4.077 eV per atom
* total DFT energy (no corrections): -3.841 eV/atom

---

# 2
Crystalline MoS2 at its relaxed geometry, computed with PBE.

Lattice parameters (Å, degrees): 3.190 3.190 6.588 75.99 75.99 60.00
Positions (direct):
S: 0.249 0.249 0.253
S: 0.751 0.751 0.747
Mo: 0.000 0.000 0.000

Output
* energy of formation from the pure elements: -0.92 eV per atom
* MP2020-corrected energy: -7.295 eV per atom
* magnetization: 0.00 μB per cell
* total DFT energy (no corrections): -6.959 eV/atom

---

# 3
Crystalline LiAlC16Cl12O4F24 at its relaxed geometry, computed with PBE.

Lattice parameters (Å, degrees): 10.890 11.992 13.833 90.00 90.00 92.65
Positions (direct):
Cl: 0.731 0.008 0.322
Cl: 0.619 0.907 0.754
Cl: 0.851 0.849 0.836
Cl: 0.212 0.839 0.455
Cl: 0.636 0.187 0.126
Cl: 0.788 0.161 0.955
Cl: 0.830 0.948 0.137
Cl: 0.471 0.899 0.450
Cl: 0.120 0.754 0.985
Cl: 0.269 0.992 0.822
Cl: 0.880 0.246 0.485
Cl: 0.418 0.119 0.687
Cl: 0.016 0.539 0.924
Cl: 0.381 0.093 0.254
Cl: 0.529 0.101 0.950
Cl: 0.670 0.676 0.786
Cl: 0.895 0.431 0.618
Cl: 0.149 0.151 0.336
Cl: 0.984 0.461 0.424
Cl: 0.364 0.813 0.626
Cl: 0.105 0.569 0.118
Cl: 0.170 0.052 0.637
Cl: 0.330 0.324 0.286
Cl: 0.582 0.881 0.187
C: 0.262 0.190 0.250
C: 0.642 0.198 0.996
C: 0.209 0.202 0.141
C: 0.868 0.394 0.495
C: 0.779 0.787 0.282
C: 0.361 0.653 0.357
C: 0.734 0.901 0.233
C: 0.750 0.683 0.212
C: 0.632 0.399 0.540
C: 0.687 0.413 0.029
C: 0.250 0.317 0.712
C: 0.738 0.810 0.750
C: 0.925 0.796 0.297
C: 0.183 0.081 0.095
C: 0.305 0.627 0.863
C: 0.368 0.601 0.040
C: 0.313 0.587 0.529
C: 0.266 0.099 0.733
C: 0.919 0.739 0.643
C: 0.393 0.677 0.467
C: 0.791 0.798 0.641
C: 0.075 0.204 0.797
C: 0.081 0.261 0.143
C: 0.132 0.606 0.995
C: 0.734 0.434 0.462
C: 0.221 0.213 0.782
C: 0.607 0.323 0.967
C: 0.266 0.566 0.962
C: 0.695 0.373 0.363
C: 0.358 0.802 0.496
C: 0.817 0.919 0.595
C: 0.639 0.347 0.857
F: 0.697 0.513 0.983
F: 0.941 0.695 0.555
F: 0.760 0.374 0.843
F: 0.393 0.568 0.819
F: 0.897 0.914 0.520
F: 0.645 0.268 0.376
F: 0.240 0.626 0.343
F: 0.288 0.040 0.059
F: 0.103 0.086 0.020
F: 0.426 0.567 0.326
F: 0.231 0.295 0.617
F: 0.519 0.395 0.499
F: 0.989 0.775 0.216
F: 0.646 0.300 0.585
F: 0.920 0.655 0.709
F: 0.985 0.189 0.165
F: 0.965 0.897 0.331
F: 0.574 0.433 0.826
F: 0.627 0.432 0.115
F: 0.865 0.994 0.659
F: 0.354 0.700 0.085
F: 0.372 0.521 0.112
F: 0.303 0.487 0.483
F: 0.628 0.479 0.612
F: 0.769 0.705 0.117
F: 0.015 0.811 0.665
F: 0.801 0.383 0.051
F: 0.178 0.403 0.736
F: 0.059 0.305 0.055
F: 0.355 0.732 0.876
F: 0.373 0.568 0.615
F: 0.135 0.006 0.159
F: 0.789 0.367 0.300
F: 0.080 0.345 0.209
F: 0.368 0.355 0.723
F: 0.610 0.259 0.799
F: 0.011 0.225 0.716
F: 0.956 0.720 0.364
F: 0.481 0.605 0.999
F: 0.044 0.280 0.864
F: 0.199 0.617 0.551
F: 0.607 0.432 0.319
F: 0.632 0.645 0.223
F: 0.822 0.597 0.236
F: 0.712 0.960 0.559
F: 0.390 0.741 0.299
F: 0.211 0.633 0.800
F: 0.035 0.103 0.831
Al: 0.678 0.680 0.463
Al: 0.322 0.320 0.963
O: 0.707 0.737 0.584
O: 0.486 0.339 0.988
O: 0.293 0.263 0.084
O: 0.279 0.231 0.868
O: 0.514 0.661 0.488
O: 0.263 0.454 0.950
O: 0.737 0.546 0.450
O: 0.721 0.769 0.368
Li: 0.455 0.339 0.134
Li: 0.545 0.661 0.634

Output
* energy of formation from the pure elements: -1.33 eV per atom
* MP2020-corrected energy: -5.493 eV per atom
* magnetization: 0.00 μB per cell
* total DFT energy (no corrections): -5.255 eV/atom

---

# 4
Crystalline MgNb2P2O10 at its relaxed geometry, computed with PBE.

Lattice parameters (Å, degrees): 5.300 6.589 6.589 90.00 90.00 90.00
Positions (direct):
P: 0.500 0.750 0.250
P: 0.500 0.250 0.750
O: 0.094 0.250 0.250
O: 0.665 0.556 0.250
O: 0.310 0.072 0.750
O: 0.665 0.944 0.250
O: 0.335 0.750 0.444
O: 0.690 0.250 0.572
O: 0.335 0.750 0.056
O: 0.690 0.250 0.928
O: 0.906 0.750 0.750
O: 0.310 0.428 0.750
Nb: 0.761 0.250 0.250
Nb: 0.239 0.750 0.750
Mg: 0.000 0.250 0.750

Output
* energy of formation from the pure elements: -2.65 eV per atom
* MP2020-corrected energy: -8.125 eV per atom
* magnetization: 1.99 μB per cell
* ΔE to the lowest computed polymorph: 0.136 eV per atom
* total DFT energy (no corrections): -7.667 eV/atom

---

# 5
Crystalline TiCrCuS4 at its relaxed geometry, computed with PBE.

Lattice parameters (Å, degrees): 6.650 6.650 5.914 64.34 64.34 29.97
Positions (direct):
Cu: 0.498 0.498 0.504
S: 0.139 0.139 0.513
S: 0.618 0.618 0.050
S: 0.863 0.863 0.469
S: 0.381 0.381 0.955
Ti: 0.244 0.244 0.786
Cr: 0.756 0.756 0.223

Output
* energy of formation from the pure elements: -1.12 eV per atom
* MP2020-corrected energy: -6.578 eV per atom
* ΔE to the lowest computed polymorph: 0.065 eV per atom
* total DFT energy (no corrections): -6.291 eV/atom

---

# 6
Crystalline Pm2MgSe4 at its relaxed geometry, computed with PBE.

Lattice parameters (Å, degrees): 7.685 7.685 7.685 110.78 110.78 106.87
Positions (direct):
Se: 0.127 0.757 0.765
Se: 0.113 0.242 0.735
Se: 0.758 0.493 0.870
Se: 0.243 0.008 0.370
Se: 0.623 0.887 0.130
Se: 0.992 0.363 0.235
Se: 0.507 0.377 0.265
Se: 0.637 0.873 0.630
Pm: 0.875 0.757 0.382
Pm: 0.243 0.625 0.118
Pm: 0.507 0.125 0.882
Pm: 0.375 0.493 0.618
Mg: 0.000 0.000 0.000
Mg: 0.750 0.250 0.500

Output
* energy of formation from the pure elements: -1.90 eV per atom
* MP2020-corrected energy: -5.486 eV per atom
* magnetization: 0.00 μB per cell
* ΔE to the lowest computed polymorph: 0.039 eV per atom
* total DFT energy (no corrections): -5.216 eV/atom